(1)
The following is a DFT calculation (r²SCAN) of a relaxed structure of Sc11Ru4.

Cell: 9.446 9.446 9.446 Å, 60.00 60.00 60.00°
Positions (direct):
Sc  0.616  0.616  0.616
Sc  0.844  0.468  0.844
Sc  0.384  0.384  0.384
Sc  0.802  0.198  0.802
Sc  0.198  0.198  0.802
Sc  0.156  0.156  0.532
Sc  0.156  0.532  0.156
Sc  0.384  0.384  0.849
Sc  0.384  0.849  0.384
Sc  0.802  0.198  0.198
Sc  0.532  0.156  0.156
Sc  0.198  0.802  0.802
Sc  0.844  0.844  0.844
Sc  0.616  0.151  0.616
Sc  0.844  0.844  0.468
Sc  0.151  0.616  0.616
Sc  0.156  0.156  0.156
Sc  0.468  0.844  0.844
Sc  0.616  0.616  0.151
Sc  0.198  0.802  0.198
Sc  0.802  0.802  0.198
Sc  0.849  0.384  0.384
Ru  0.500  0.000  0.000
Ru  0.000  0.000  0.500
Ru  0.000  0.000  0.000
Ru  0.000  0.500  0.500
Ru  0.500  0.500  0.000
Ru  0.500  0.000  0.500
Ru  0.000  0.500  0.000
Ru  0.500  0.500  0.500

***

(2)
The following is a DFT calculation (r²SCAN) of a relaxed structure of Ce2CdPt2.

Cell: 3.814 7.861 7.861 Å, 89.95 90.00 90.00°
Positions (direct):
Ce  0.500  0.671  0.829
Ce  0.500  0.829  0.329
Ce  0.500  0.329  0.171
Ce  0.500  0.171  0.671
Pt  0.000  0.370  0.870
Pt  0.000  0.132  0.368
Pt  0.000  0.630  0.130
Pt  0.000  0.868  0.632
Cd  0.000  0.500  0.500
Cd  0.000  0.000  0.000

***

Number 1: energy of formation -0.41 eV per atom. Number 2: energy of formation -1.03 eV per atom.